Material: Bi2Pb2Se5
Method: DFT, PBE
State: relaxed

For the formation energy from the elements, the calculation gives -0.720 eV/atom. The crystal system is trigonal. Its volume is 267 Å³ per cell.

The structure belongs to space group P-3m1 (No. 164); the cell edges are 4.2778, 4.2778 and 16.8745 Å and the angles 90.00°, 90.00° and 120.00°. The asymmetric unit holds Bi at (0.0000, 0.0000, 0.1658), Pb at (0.3333, 0.6667, 0.6110), Se at (0.0000, 0.0000, 0.5000), Se at (0.3333, 0.6667, 0.2790) and Se at (0.3333, 0.6667, 0.9233).